Entry from the Materials Project: crystalline LiLaMg14O16 at its relaxed geometry (PBE-GGA).

Unit cell a=8.707 b=8.707 c=4.377 alpha=90.00 beta=90.00 gamma=90.00
Fractional positions:
Li 0.000 0.000 0.000
La 0.500 0.500 0.000
Mg 0.000 0.500 0.000
Mg 0.500 0.000 0.000
Mg 0.000 0.241 0.500
Mg 0.000 0.759 0.500
Mg 0.500 0.230 0.500
Mg 0.500 0.770 0.500
Mg 0.241 0.000 0.500
Mg 0.230 0.500 0.500
Mg 0.759 0.000 0.500
Mg 0.770 0.500 0.500
Mg 0.235 0.235 0.000
Mg 0.235 0.765 0.000
Mg 0.765 0.235 0.000
Mg 0.765 0.765 0.000
O 0.255 0.000 0.000
O 0.231 0.500 0.000
O 0.745 0.000 0.000
O 0.769 0.500 0.000
O 0.252 0.252 0.500
O 0.252 0.748 0.500
O 0.748 0.252 0.500
O 0.748 0.748 0.500
O 0.000 0.000 0.500
O 0.000 0.500 0.500
O 0.500 0.000 0.500
O 0.500 0.500 0.500
O 0.000 0.255 0.000
O 0.000 0.745 0.000
O 0.500 0.231 0.000
O 0.500 0.769 0.000

## Properties
Calculated total energy: -6.014 eV/atom
Total moment: 0.0 μB per formula unit
Density: 3.714 g/cm3
Excess energy over the best structure of this formula in the dataset: 0 meV/atom